(1)
Here is crystalline Ba3Ag2 at its relaxed geometry from the Materials Project. Energies are from meta-GGA r2SCAN.

Cell lengths 8.906, 8.906, 8.906 Å; angles 72.73, 72.73, 72.73 degrees
Atoms (fractional coordinates):
1 Ba 0.000 0.000 0.000
2 Ba 0.165 0.669 0.385
3 Ba 0.206 0.206 0.206
4 Ba 0.331 0.615 0.835
5 Ba 0.385 0.165 0.669
6 Ba 0.615 0.835 0.331
7 Ba 0.669 0.385 0.165
8 Ba 0.794 0.794 0.794
9 Ba 0.835 0.331 0.615
10 Ag 0.036 0.411 0.868
11 Ag 0.132 0.964 0.589
12 Ag 0.411 0.868 0.036
13 Ag 0.589 0.132 0.964
14 Ag 0.868 0.036 0.411
15 Ag 0.964 0.589 0.132

Energy of formation from the pure elements, eV/f.u.: -0.787
Crystal system: trigonal


(2)
Here is crystalline PdSe at its relaxed geometry from the Materials Project. Energies are from meta-GGA r2SCAN.

Cell lengths 11.686, 11.686, 7.061 Å; angles 90.00, 90.00, 90.00 degrees
Atoms (fractional coordinates):
1 Pd 0.045 0.130 0.000
2 Pd 0.113 0.613 0.250
3 Pd 0.113 0.613 0.750
4 Pd 0.130 0.955 0.500
5 Pd 0.142 0.269 0.500
6 Pd 0.231 0.358 0.000
7 Pd 0.269 0.858 0.000
8 Pd 0.358 0.769 0.500
9 Pd 0.370 0.455 0.500
10 Pd 0.387 0.113 0.250
11 Pd 0.387 0.113 0.750
12 Pd 0.455 0.630 0.000
13 Pd 0.545 0.370 0.000
14 Pd 0.613 0.887 0.250
15 Pd 0.613 0.887 0.750
16 Pd 0.630 0.545 0.500
17 Pd 0.642 0.231 0.500
18 Pd 0.731 0.142 0.000
19 Pd 0.769 0.642 0.000
20 Pd 0.858 0.731 0.500
21 Pd 0.870 0.045 0.500
22 Pd 0.887 0.387 0.250
23 Pd 0.887 0.387 0.750
24 Pd 0.955 0.870 0.000
25 Se 0.096 0.404 0.250
26 Se 0.096 0.404 0.750
27 Se 0.110 0.823 0.224
28 Se 0.110 0.823 0.776
29 Se 0.177 0.110 0.276
30 Se 0.177 0.110 0.724
31 Se 0.323 0.610 0.276
32 Se 0.323 0.610 0.724
33 Se 0.390 0.323 0.224
34 Se 0.390 0.323 0.776
35 Se 0.404 0.904 0.250
36 Se 0.404 0.904 0.750
37 Se 0.596 0.096 0.250
38 Se 0.596 0.096 0.750
39 Se 0.610 0.677 0.224
40 Se 0.610 0.677 0.776
41 Se 0.677 0.390 0.276
42 Se 0.677 0.390 0.724
43 Se 0.823 0.890 0.276
44 Se 0.823 0.890 0.724
45 Se 0.890 0.177 0.224
46 Se 0.890 0.177 0.776
47 Se 0.904 0.596 0.250
48 Se 0.904 0.596 0.750

Energy of formation from the pure elements, eV/f.u.: -0.782
Crystal system: tetragonal